A plane-wave DFT calculation with PBE was carried out for a geometry-optimized Pr2SiCN2O4 structure.

The structure in CIF format:
```
data_Pr2SiCN2O4
_chemical_formula_sum 'Pr4 Si2 C2 N4 O8'
_symmetry_space_group_name_H-M 'P -1'
_symmetry_Int_Tables_number 2
_cell_length_a 6.5210
_cell_length_b 6.7363
_cell_length_c 6.7670
_cell_angle_alpha 85.14
_cell_angle_beta 72.92
_cell_angle_gamma 74.74
loop_
_symmetry_equiv_pos_as_xyz
'x,y,z'
'-x,-y,-z'
loop_
_atom_site_label
_atom_site_type_symbol
_atom_site_fract_x
_atom_site_fract_y
_atom_site_fract_z
_atom_site_occupancy
Pr1 Pr 0.0410 0.1965 0.2022 1
Pr2 Pr 0.4430 0.2555 0.6679 1
Si1 Si 0.4617 0.7866 0.8160 1
C1 C 0.0607 0.6909 0.2939 1
N1 N 0.0257 0.4073 0.7904 1
N2 N 0.1394 0.7955 0.3791 1
O1 O 0.2329 0.9711 0.8956 1
O2 O 0.3575 0.1173 0.3703 1
O3 O 0.3854 0.6278 0.6952 1
O4 O 0.4016 0.2943 0.0171 1
```

uncorrected energy = -0.616 Ry per atom

A plane-wave DFT calculation with PBE was carried out for a geometry-optimized Rb2TlAsF6 structure.

The structure in CIF format:
```
data_Rb2TlAsF6
_chemical_formula_sum 'Rb8 Tl4 As4 F24'
_symmetry_space_group_name_H-M 'F m -3 m'
_symmetry_Int_Tables_number 225
_symmetry_space_group_name_Hall '-F 4 2 3'
_cell_length_a 9.4396
_cell_length_b 9.4396
_cell_length_c 9.4396
_cell_angle_alpha 90.00
_cell_angle_beta 90.00
_cell_angle_gamma 90.00
loop_
_atom_site_label
_atom_site_type_symbol
_atom_site_fract_x
_atom_site_fract_y
_atom_site_fract_z
_atom_site_occupancy
Rb1 Rb 0.2500 0.2500 0.2500 1
Tl1 Tl 0.0000 0.0000 0.0000 1
As1 As 0.0000 0.0000 0.5000 1
F1 F 0.0000 0.0000 0.2807 1
```

uncorrected energy = -0.318 Ry per atom

A plane-wave DFT calculation with PBE was carried out for a geometry-optimized HfPd structure.

The structure in CIF format:
```
data_HfPd
_chemical_formula_sum 'Hf1 Pd1'
_symmetry_space_group_name_H-M 'P m -3 m'
_symmetry_Int_Tables_number 221
_symmetry_space_group_name_Hall '-P 4 2 3'
_cell_length_a 3.3278
_cell_length_b 3.3278
_cell_length_c 3.3278
_cell_angle_alpha 90.00
_cell_angle_beta 90.00
_cell_angle_gamma 90.00
loop_
_atom_site_label
_atom_site_type_symbol
_atom_site_fract_x
_atom_site_fract_y
_atom_site_fract_z
_atom_site_occupancy
Hf1 Hf 0.0000 0.0000 0.0000 1
Pd1 Pd 0.5000 0.5000 0.5000 1
```

uncorrected energy = -0.602 Ry per atom

A plane-wave DFT calculation with PBE was carried out for a geometry-optimized LaCuSi2Ni structure.

The structure in CIF format:
```
data_LaCuSi2Ni
_chemical_formula_sum 'La2 Cu2 Si4 Ni2'
_symmetry_space_group_name_H-M 'I -4 m 2'
_symmetry_Int_Tables_number 119
_symmetry_space_group_name_Hall 'I -4 -2'
_cell_length_a 4.1340
_cell_length_b 4.1340
_cell_length_c 9.7852
_cell_angle_alpha 90.00
_cell_angle_beta 90.00
_cell_angle_gamma 90.00
loop_
_atom_site_label
_atom_site_type_symbol
_atom_site_fract_x
_atom_site_fract_y
_atom_site_fract_z
_atom_site_occupancy
La1 La 0.0000 0.0000 0.0000 1
Cu1 Cu 0.0000 0.5000 0.7500 1
Si1 Si 0.0000 0.0000 0.3737 1
Ni1 Ni 0.0000 0.5000 0.2500 1
```

uncorrected energy = -0.427 Ry per atom

A plane-wave DFT calculation with PBE was carried out for a geometry-optimized Ca2SnS4 structure.

The structure in CIF format:
```
data_Ca2SnS4
_chemical_formula_sum 'Ca8 Sn4 S16'
_symmetry_space_group_name_H-M 'P b a m'
_symmetry_Int_Tables_number 55
_cell_length_a 9.9564
_cell_length_b 10.2283
_cell_length_c 8.9255
_cell_angle_alpha 90.00
_cell_angle_beta 90.00
_cell_angle_gamma 90.00
loop_
_symmetry_equiv_pos_as_xyz
'x,y,z'
'-x,-y,-z'
'-x,-y,z'
'x,y,-z'
'x+1/2,-y+1/2,-z'
'-x+1/2,y+1/2,z'
'-x+1/2,y+1/2,-z'
'x+1/2,-y+1/2,z'
loop_
_atom_site_label
_atom_site_type_symbol
_atom_site_fract_x
_atom_site_fract_y
_atom_site_fract_z
_atom_site_occupancy
Ca1 Ca 0.1406 0.2004 0.0000 1
Ca2 Ca 0.1960 0.8526 0.5000 1
Sn1 Sn 0.0000 0.5000 0.2505 1
S1 S 0.0956 0.6382 0.0000 1
S2 S 0.1435 0.5922 0.5000 1
S3 S 0.1738 0.3293 0.2488 1
```

distance to the lowest polymorph of the same formula = 0.420 eV/atom
uncorrected energy = -0.329 Ry per atom

A plane-wave DFT calculation with PBE was carried out for a geometry-optimized Nb3N2Cl7O5 structure.

The structure in CIF format:
```
data_Nb3N2Cl7O5
_chemical_formula_sum 'Nb12 N8 Cl28 O20'
_symmetry_space_group_name_H-M 'C 1 2/c 1'
_symmetry_Int_Tables_number 15
_cell_length_a 17.1269
_cell_length_b 9.0375
_cell_length_c 11.3658
_cell_angle_alpha 90.00
_cell_angle_beta 111.25
_cell_angle_gamma 90.00
loop_
_symmetry_equiv_pos_as_xyz
'x,y,z'
'-x,-y,-z'
'-x,y,-z+1/2'
'x,-y,z+1/2'
'x+1/2,y+1/2,z'
'-x+1/2,-y+1/2,-z'
'-x+1/2,y+1/2,-z+1/2'
'x+1/2,-y+1/2,z+1/2'
loop_
_atom_site_label
_atom_site_type_symbol
_atom_site_fract_x
_atom_site_fract_y
_atom_site_fract_z
_atom_site_occupancy
Nb1 Nb 0.0000 0.0321 0.2500 1
Nb2 Nb 0.0050 0.2870 0.9786 1
N1 N 0.2019 0.4555 0.3548 1
Cl1 Cl 0.0000 0.4095 0.7500 1
Cl2 Cl 0.1476 0.0710 0.3315 1
Cl3 Cl 0.1476 0.2912 0.6355 1
Cl4 Cl 0.1520 0.2920 0.0358 1
O1 O 0.0000 0.5000 0.0000 1
O2 O 0.0014 0.1048 0.8748 1
O3 O 0.0010 0.2104 0.1223 1
```

distance to the lowest polymorph of the same formula = 0.321 eV/atom
uncorrected energy = -0.423 Ry per atom

A plane-wave DFT calculation with PBE was carried out for a geometry-optimized LiAs3 structure.

The structure in CIF format:
```
data_LiAs3
_chemical_formula_sum 'Li2 As6'
_symmetry_space_group_name_H-M 'P 63/m m c'
_symmetry_Int_Tables_number 194
_symmetry_space_group_name_Hall '-P 6c 2c'
_cell_length_a 4.2112
_cell_length_b 4.2112
_cell_length_c 9.7316
_cell_angle_alpha 90.00
_cell_angle_beta 90.00
_cell_angle_gamma 120.00
loop_
_atom_site_label
_atom_site_type_symbol
_atom_site_fract_x
_atom_site_fract_y
_atom_site_fract_z
_atom_site_occupancy
Li1 Li 0.3333 0.6667 0.2500 1
As1 As 0.0000 0.0000 0.2500 1
As2 As 0.3333 0.6667 0.5718 1
```

uncorrected energy = -0.288 Ry per atom

A plane-wave DFT calculation with PBE was carried out for a geometry-optimized TiPt3 structure.

The structure in CIF format:
```
data_TiPt3
_chemical_formula_sum 'Ti2 Pt6'
_symmetry_space_group_name_H-M 'P 63/m m c'
_symmetry_Int_Tables_number 194
_symmetry_space_group_name_Hall '-P 6c 2c'
_cell_length_a 5.6123
_cell_length_b 5.6123
_cell_length_c 4.5216
_cell_angle_alpha 90.00
_cell_angle_beta 90.00
_cell_angle_gamma 120.00
loop_
_atom_site_label
_atom_site_type_symbol
_atom_site_fract_x
_atom_site_fract_y
_atom_site_fract_z
_atom_site_occupancy
Ti1 Ti 0.3333 0.6667 0.2500 1
Pt1 Pt 0.1674 0.3348 0.7500 1
```

uncorrected energy = -0.541 Ry per atom

A plane-wave DFT calculation with PBE was carried out for a geometry-optimized K2Ge3B2O10 structure.

The structure in CIF format:
```
data_K2Ge3B2O10
_chemical_formula_sum 'K8 Ge12 B8 O40'
_symmetry_space_group_name_H-M 'C 1 2 1'
_symmetry_Int_Tables_number 5
_cell_length_a 16.1283
_cell_length_b 6.2643
_cell_length_c 12.0587
_cell_angle_alpha 90.00
_cell_angle_beta 131.38
_cell_angle_gamma 90.00
loop_
_symmetry_equiv_pos_as_xyz
'x,y,z'
'-x,y,-z'
'x+1/2,y+1/2,z'
'-x+1/2,y+1/2,-z'
loop_
_atom_site_label
_atom_site_type_symbol
_atom_site_fract_x
_atom_site_fract_y
_atom_site_fract_z
_atom_site_occupancy
K1 K 0.1495 0.0000 0.3871 1
K2 K 0.2382 0.2530 0.8858 1
Ge1 Ge 0.0000 0.1643 0.5000 1
Ge2 Ge 0.0000 0.9091 0.0000 1
Ge3 Ge 0.0419 0.4851 0.1758 1
Ge4 Ge 0.1242 0.7377 0.6836 1
B1 B 0.0780 0.5082 0.4413 1
B2 B 0.1409 0.2610 0.0774 1
O1 O 0.0110 0.7524 0.8860 1
O2 O 0.0434 0.5379 0.6761 1
O3 O 0.0626 0.2866 0.9128 1
O4 O 0.0674 0.9977 0.6589 1
O5 O 0.1046 0.3039 0.5227 1
O6 O 0.1224 0.0564 0.1222 1
O7 O 0.1260 0.4912 0.3703 1
O8 O 0.1350 0.6912 0.5481 1
O9 O 0.1361 0.4481 0.1481 1
O10 O 0.2464 0.7465 0.8719 1
```

uncorrected energy = -0.488 Ry per atom

A plane-wave DFT calculation with PBE was carried out for a geometry-optimized Ga3Ni20B6 structure.

The structure in CIF format:
```
data_Ga3Ni20B6
_chemical_formula_sum 'Ga12 Ni80 B24'
_symmetry_space_group_name_H-M 'F m -3 m'
_symmetry_Int_Tables_number 225
_symmetry_space_group_name_Hall '-F 4 2 3'
_cell_length_a 10.4988
_cell_length_b 10.4988
_cell_length_c 10.4988
_cell_angle_alpha 90.00
_cell_angle_beta 90.00
_cell_angle_gamma 90.00
loop_
_atom_site_label
_atom_site_type_symbol
_atom_site_fract_x
_atom_site_fract_y
_atom_site_fract_z
_atom_site_occupancy
Ga1 Ga 0.0000 0.0000 0.0000 1
Ga2 Ga 0.2500 0.2500 0.2500 1
Ni1 Ni 0.0000 0.1686 0.1686 1
Ni2 Ni 0.1175 0.1175 0.3825 1
B1 B 0.0000 0.0000 0.2759 1
```

uncorrected energy = -0.442 Ry per atom

A plane-wave DFT calculation with PBE was carried out for a geometry-optimized Na3YCl6 structure.

The structure in CIF format:
```
data_Na3YCl6
_chemical_formula_sum 'Na9 Y3 Cl18'
_symmetry_space_group_name_H-M 'R -3'
_symmetry_Int_Tables_number 148
_symmetry_space_group_name_Hall '-R 3'
_cell_length_a 7.1395
_cell_length_b 7.1395
_cell_length_c 18.8826
_cell_angle_alpha 90.00
_cell_angle_beta 90.00
_cell_angle_gamma 120.00
loop_
_atom_site_label
_atom_site_type_symbol
_atom_site_fract_x
_atom_site_fract_y
_atom_site_fract_z
_atom_site_occupancy
Na1 Na 0.0000 0.0000 0.0000 1
Na2 Na 0.0000 0.0000 0.3003 1
Y1 Y 0.0000 0.0000 0.5000 1
Cl1 Cl 0.0227 0.3052 0.5861 1
```

distance to the lowest polymorph of the same formula = 0.000 eV/atom
uncorrected energy = -0.305 Ry per atom

A plane-wave DFT calculation with PBE was carried out for a geometry-optimized ThNi2Ge2 structure.

The structure in CIF format:
```
data_ThNi2Ge2
_chemical_formula_sum 'Th2 Ni4 Ge4'
_symmetry_space_group_name_H-M 'I 4/m m m'
_symmetry_Int_Tables_number 139
_symmetry_space_group_name_Hall '-I 4 2'
_cell_length_a 4.1809
_cell_length_b 4.1809
_cell_length_c 9.7356
_cell_angle_alpha 90.00
_cell_angle_beta 90.00
_cell_angle_gamma 90.00
loop_
_atom_site_label
_atom_site_type_symbol
_atom_site_fract_x
_atom_site_fract_y
_atom_site_fract_z
_atom_site_occupancy
Th1 Th 0.0000 0.0000 0.0000 1
Ni1 Ni 0.0000 0.5000 0.2500 1
Ge1 Ge 0.0000 0.0000 0.3681 1
```

uncorrected energy = -0.467 Ry per atom